The following is a meta-GGA r2SCAN calculation of an optimized crystal structure of Co3P4PbO14, from the Materials Project.

Lattice parameters (Å, degrees): 7.7249 7.3602 9.4165 68.66 90.00 90.00
With the nearest neighbours (Å) after each atom.
Fractional coordinates of all 44 atoms:
Pb (0.5000, 0.0000, 0.0000)  8 O 2.59-2.78
O (0.2170, 0.4988, 0.3699)  1 P 1.53
O (0.1187, 0.6429, 0.6138)  1 P 1.52
O (0.8300, 0.8737, 0.0799)  1 P 1.52
P (0.0483, 0.1031, 0.8016)  4 O 1.52-1.60
O (0.5102, 0.1045, 0.6854)  1 P 1.52
O (0.1700, 0.1263, 0.9201)  1 P 1.52
O (0.3914, 0.2230, 0.1396)  1 P 1.53
O (0.6361, 0.1884, 0.3237)  2 P 1.59-1.60
O (0.1361, 0.8116, 0.1763)  2 P 1.59-1.60
O (0.3813, 0.6429, 0.1138)  1 P 1.52
O (0.4179, 0.5105, 0.6189)  1 P 1.52
Co (0.0000, 0.5000, 0.5000)  6 O 1.98-2.15
O (0.4898, 0.8955, 0.3146)  1 P 1.52
P (0.5483, 0.8969, 0.6984)  4 O 1.52-1.60
P (0.7911, 0.3990, 0.8032)  4 O 1.52-1.59
O (0.7830, 0.5012, 0.6301)  1 P 1.53
O (0.3300, 0.1263, 0.4201)  1 P 1.52
O (0.6187, 0.3571, 0.8862)  1 P 1.52
O (0.2830, 0.4988, 0.8699)  1 P 1.53
Co (0.5000, 0.5000, 0.0000)  6 O 1.98-2.15
O (0.8914, 0.7770, 0.3604)  1 P 1.53
O (0.6086, 0.7770, 0.8604)  1 P 1.53
O (0.9179, 0.4895, 0.8811)  1 P 1.52
O (0.0102, 0.8955, 0.8146)  1 P 1.52
Co (0.6260, 0.6860, 0.4761)  5 O 1.99-2.19
O (0.5821, 0.4895, 0.3811)  1 P 1.52
Co (0.8740, 0.6860, 0.9761)  5 O 1.99-2.19
Pb (0.0000, 0.0000, 0.5000)  8 O 2.59-2.78
P (0.2911, 0.6010, 0.6968)  4 O 1.52-1.59
O (0.8813, 0.3571, 0.3862)  1 P 1.52
O (0.7170, 0.5012, 0.1301)  1 P 1.53
P (0.7089, 0.3990, 0.3032)  4 O 1.52-1.59
O (0.1086, 0.2230, 0.6396)  1 P 1.53
O (0.0821, 0.5105, 0.1189)  1 P 1.52
P (0.9517, 0.8969, 0.1984)  4 O 1.52-1.60
P (0.2089, 0.6010, 0.1968)  4 O 1.52-1.59
O (0.6700, 0.8737, 0.5799)  1 P 1.52
Co (0.1260, 0.3140, 0.0239)  5 O 1.99-2.19
O (0.9898, 0.1045, 0.1854)  1 P 1.52
P (0.4517, 0.1031, 0.3016)  4 O 1.52-1.60
O (0.3639, 0.8116, 0.6763)  2 P 1.59-1.60
Co (0.3740, 0.3140, 0.5239)  5 O 1.99-2.19
O (0.8639, 0.1884, 0.8237)  2 P 1.59-1.60

Calculated values
Energy of formation = -1977 meV per atom
SG = P2_1/c (14)
M_tot = 3.0 μB per formula unit